Entry 1:
Here is crystalline Li9Cr12Ni7O48 at its relaxed geometry from Materials Project. Energies are from GGA+U.

```
76
Lattice="5.071 0.000 0.000 0.004 10.247 0.000 0.060 0.055 17.347" Properties=species:S:1:pos:R:3 pbc="T T T"
Li 0.000 0.000 0.000
Li 0.001 3.510 0.005
Li 0.048 6.907 5.685
Li 2.573 1.804 12.468
Li 2.593 3.544 9.593
Li 2.604 6.899 3.872
Li 3.342 1.768 4.740
Li 4.335 6.916 13.421
Li 5.084 8.658 8.623
Cr 0.182 4.070 11.824
Cr 0.198 9.759 11.777
Cr 0.219 6.933 16.821
Cr 2.393 1.759 1.428
Cr 2.411 4.625 6.438
Cr 2.428 9.186 6.407
Cr 2.700 4.064 15.078
Cr 2.701 9.795 15.064
Cr 2.695 6.899 10.082
Cr 4.984 1.772 8.132
Cr 4.969 4.623 3.114
Cr 4.969 9.152 3.109
Ni 0.088 1.862 14.474
Ni 0.815 1.767 4.783
Ni 1.786 6.921 13.405
Ni 2.563 8.730 0.896
Ni 2.564 5.034 0.901
Ni 2.599 10.182 9.538
Ni 5.081 5.055 8.682
O 0.535 5.497 12.644
O 0.540 8.337 12.605
O 0.581 6.929 15.195
O 0.782 3.145 8.513
O 0.764 5.618 4.072
O 0.776 8.157 4.057
O 0.840 4.331 1.764
O 0.839 9.441 1.759
O 0.884 0.485 8.518
O 1.007 5.449 6.931
O 1.058 8.367 6.855
O 1.054 1.757 0.448
O 1.555 3.277 11.369
O 1.602 0.328 11.293
O 1.574 6.880 0.473
O 1.697 0.526 14.174
O 1.701 3.077 14.193
O 1.723 5.611 9.698
O 1.828 8.268 9.702
O 1.860 4.422 16.466
O 1.863 9.444 16.460
O 2.012 1.767 3.060
O 2.064 0.359 5.566
O 2.063 3.203 5.612
O 3.002 5.482 14.243
O 3.002 8.367 14.237
O 3.009 6.896 11.732
O 3.285 5.618 5.474
O 3.321 0.411 1.064
O 3.322 3.106 1.062
O 3.352 9.525 7.772
O 3.353 8.198 5.469
O 3.372 4.311 7.771
O 3.538 5.413 2.645
O 3.538 8.357 2.641
O 3.587 1.715 9.088
O 4.113 0.384 15.457
O 4.118 3.242 15.493
O 4.094 6.836 9.129
O 4.312 9.441 10.445
O 4.330 4.402 10.462
O 4.339 3.052 12.786
O 4.356 5.612 17.188
O 4.355 8.255 17.186
O 4.368 0.506 12.727
O 4.670 0.348 3.926
O 4.676 1.759 6.483
O 4.672 3.182 3.934
```

Output
Mass density = 3.44 g/cm3
Energy of formation = -1.720 eV/atom
Raw total energy = -6.14 eV/atom



Entry 2:
Here is crystalline Li2Cr2NiO6 at its relaxed geometry from Materials Project. Energies are from GGA+U.

```
33
Lattice="6.503 -4.378 0.000 6.503 4.378 0.000 -1.461 0.000 5.747" Properties=species:S:1:pos:R:3 pbc="T T T"
Li 6.503 2.933 0.000
Li 3.429 1.510 3.839
Li 8.116 1.510 1.908
Li 3.429 -1.510 3.839
Li 8.116 -1.510 1.908
Li 6.503 -2.933 0.000
Cr 4.089 1.474 1.000
Cr 1.026 0.000 4.735
Cr 7.456 1.474 4.748
Cr 4.089 -1.474 1.000
Cr 10.519 0.000 1.012
Cr 7.456 -1.474 4.748
Ni 5.772 2.962 2.874
Ni 5.772 0.000 2.874
Ni 5.772 -2.962 2.874
O 3.707 2.851 2.245
O 2.186 1.486 0.340
O -0.884 0.000 4.168
O 5.981 1.587 1.579
O 5.564 1.587 4.169
O 2.889 0.000 5.457
O 2.186 -1.486 0.340
O 7.838 2.851 3.502
O 3.961 0.000 2.380
O 7.584 0.000 3.367
O 3.707 -2.851 2.245
O 9.359 1.486 5.408
O 8.656 0.000 0.290
O 5.981 -1.587 1.579
O 5.564 -1.587 4.169
O 12.429 0.000 1.580
O 9.359 -1.486 5.408
O 7.838 -2.851 3.502
```

Output
Mass density = 4.15 g/cm3
Energy of formation = -1.946 eV/atom
Raw total energy = -6.30 eV/atom



Entry 3:
Here is crystalline Li3Cr2NiO6 at its relaxed geometry from Materials Project. Energies are from GGA+U.

```
12
Lattice="6.445 -1.472 0.000 6.445 1.472 0.000 -1.351 0.000 5.740" Properties=species:S:1:pos:R:3 pbc="T T T"
Li 0.000 0.000 0.000
Li 3.433 0.000 3.815
Li 8.106 0.000 1.925
Cr 4.075 0.000 0.992
Cr 7.464 0.000 4.748
Ni -0.675 0.000 2.870
O 1.341 0.000 3.444
O 2.143 0.000 0.374
O 5.993 0.000 1.469
O 5.546 0.000 4.271
O 9.396 0.000 5.366
O 10.199 0.000 2.296
```

Output
Mass density = 4.26 g/cm3
Energy of formation = -2.107 eV/atom
Raw total energy = -6.26 eV/atom



Entry 4:
Here is crystalline Li2Cr3Ni2O12 at its relaxed geometry from Materials Project. Energies are from GGA+U.

```
76
Lattice="12.572 0.000 0.000 0.000 9.103 0.000 0.000 0.000 9.093" Properties=species:S:1:pos:R:3 pbc="T T T"
Li 2.352 2.005 2.076
Li 2.352 7.098 6.623
Li 3.933 2.546 6.623
Li 3.933 6.557 2.076
Li 8.638 2.546 7.017
Li 8.638 6.557 2.470
Li 10.219 2.005 2.470
Li 10.219 7.098 7.017
Cr 0.000 4.208 2.273
Cr 0.000 4.895 6.820
Cr 1.804 0.917 8.133
Cr 1.804 8.186 3.586
Cr 4.482 3.635 3.586
Cr 4.482 5.468 8.133
Cr 6.286 0.343 6.820
Cr 6.286 8.760 2.273
Cr 8.090 3.635 0.960
Cr 8.090 5.468 5.507
Cr 10.767 0.917 5.507
Cr 10.767 8.186 0.960
Ni 1.496 2.301 4.842
Ni 1.496 6.801 0.295
Ni 4.789 2.250 0.295
Ni 4.789 6.853 4.842
Ni 7.782 2.250 4.252
Ni 7.782 6.853 8.798
Ni 11.075 2.301 8.798
Ni 11.075 6.801 4.252
O 0.256 1.308 8.482
O 0.256 7.795 3.935
O 0.816 3.966 5.744
O 0.816 5.137 1.197
O 1.116 3.217 3.051
O 1.116 5.886 7.598
O 2.016 0.748 3.576
O 2.016 8.355 8.122
O 2.208 1.519 6.634
O 2.208 7.584 2.087
O 2.801 1.572 0.214
O 2.801 7.531 4.761
O 3.484 2.980 4.761
O 3.484 6.123 0.214
O 4.077 3.033 2.087
O 4.077 6.070 6.634
O 4.270 3.803 8.122
O 4.270 5.300 3.576
O 5.170 1.335 7.598
O 5.170 7.768 3.051
O 5.470 0.586 1.197
O 5.470 8.517 5.744
O 6.030 3.244 3.935
O 6.030 5.859 8.482
O 6.542 3.244 0.611
O 6.542 5.859 5.158
O 7.101 0.586 3.349
O 7.101 8.517 7.896
O 7.401 1.335 6.042
O 7.401 7.768 1.496
O 8.301 3.803 5.517
O 8.301 5.300 0.971
O 8.494 3.033 2.460
O 8.494 6.070 7.006
O 9.087 2.980 8.879
O 9.087 6.123 4.332
O 9.770 1.572 4.332
O 9.770 7.531 8.879
O 10.363 1.519 7.006
O 10.363 7.584 2.460
O 10.556 0.748 0.971
O 10.556 8.355 5.517
O 11.456 3.217 1.496
O 11.456 5.886 6.042
O 11.756 3.966 7.896
O 11.756 5.137 3.349
O 12.316 1.308 5.158
O 12.316 7.795 0.611
```

Output
Mass density = 3.06 g/cm3
Energy of formation = -1.736 eV/atom
Raw total energy = -6.18 eV/atom